(1)
A relaxed NaMo2P2O9 crystal. Source: the Materials Project database, functional GGA+U.

Values from the calculation:
Energy of formation from the pure elements (eV per formula unit): -34.35
Space group: No. 62
Volume (Å³/atom): 13.874

Cell lengths 14.6070, 6.7045, 7.9333 Å; angles 90.00, 90.00, 90.00 degrees
Atoms (fractional coordinates):
Na 0.2247 0.2500 0.1265
Na 0.2753 0.7500 0.6265
Na 0.7247 0.2500 0.3735
Na 0.7753 0.7500 0.8735
Mo 0.0000 0.0000 0.0000
Mo 0.0000 0.5000 0.0000
Mo 0.1181 0.2500 0.6459
Mo 0.3819 0.7500 0.1459
Mo 0.5000 0.0000 0.5000
Mo 0.5000 0.5000 0.5000
Mo 0.6181 0.2500 0.8541
Mo 0.8819 0.7500 0.3541
P 0.0628 0.7500 0.6507
P 0.1942 0.7500 0.1037
P 0.3058 0.2500 0.6037
P 0.4372 0.2500 0.1507
P 0.5628 0.7500 0.8493
P 0.6942 0.7500 0.3963
P 0.8058 0.2500 0.8963
P 0.9372 0.2500 0.3493
O 0.0133 0.7500 0.8281
O 0.0135 0.2500 0.4814
O 0.0507 0.2500 0.8579
O 0.1249 0.5664 0.6390
O 0.1249 0.9336 0.6390
O 0.1353 0.5586 0.0937
O 0.1353 0.9414 0.0937
O 0.2283 0.2500 0.4663
O 0.2465 0.2500 0.7688
O 0.2535 0.7500 0.2688
O 0.2717 0.7500 0.9663
O 0.3647 0.0586 0.5937
O 0.3647 0.4414 0.5937
O 0.3751 0.0664 0.1390
O 0.3751 0.4336 0.1390
O 0.4493 0.7500 0.3579
O 0.4865 0.7500 0.9814
O 0.4867 0.2500 0.3281
O 0.5133 0.7500 0.6719
O 0.5135 0.2500 0.0186
O 0.5507 0.2500 0.6421
O 0.6249 0.5664 0.8610
O 0.6249 0.9336 0.8610
O 0.6353 0.5586 0.4063
O 0.6353 0.9414 0.4063
O 0.7283 0.2500 0.0337
O 0.7465 0.2500 0.7312
O 0.7535 0.7500 0.2312
O 0.7717 0.7500 0.5337
O 0.8647 0.0586 0.9063
O 0.8647 0.4414 0.9063
O 0.8751 0.0664 0.3610
O 0.8751 0.4336 0.3610
O 0.9493 0.7500 0.1421
O 0.9865 0.7500 0.5186
O 0.9867 0.2500 0.1719

---

(2)
A relaxed NaMoPO6 crystal. Source: the Materials Project database, functional GGA+U.

Values from the calculation:
Energy of formation from the pure elements (eV per formula unit): -21.13
Space group: No. 14
Volume (Å³/atom): 13.448

Cell lengths 6.4559, 12.2212, 13.7464 Å; angles 90.00, 116.78, 90.00 degrees
Atoms (fractional coordinates):
Na 0.0664 0.2020 0.1103
Na 0.0664 0.2980 0.6103
Na 0.3943 0.6746 0.8465
Na 0.3943 0.8254 0.3465
Na 0.6057 0.1746 0.6535
Na 0.6057 0.3254 0.1535
Na 0.9336 0.7020 0.3897
Na 0.9336 0.7980 0.8897
Mo 0.1437 0.1039 0.8872
Mo 0.1437 0.3961 0.3872
Mo 0.3847 0.6043 0.1305
Mo 0.3847 0.8957 0.6305
Mo 0.6153 0.1043 0.3695
Mo 0.6153 0.3957 0.8695
Mo 0.8563 0.6039 0.6128
Mo 0.8563 0.8961 0.1128
P 0.1835 0.1143 0.4372
P 0.1835 0.3857 0.9372
P 0.3642 0.5410 0.6228
P 0.3642 0.9590 0.1228
P 0.6358 0.0411 0.8772
P 0.6358 0.4590 0.3772
P 0.8165 0.6143 0.0628
P 0.8165 0.8857 0.5628
O 0.0174 0.1685 0.7593
O 0.0174 0.3315 0.2593
O 0.0757 0.5822 0.1287
O 0.0757 0.9178 0.6287
O 0.0942 0.5342 0.3572
O 0.0942 0.9658 0.8572
O 0.1478 0.6172 0.5885
O 0.1478 0.8828 0.0885
O 0.2115 0.2365 0.4705
O 0.2115 0.2635 0.9705
O 0.2775 0.6767 0.0078
O 0.2775 0.8233 0.5078
O 0.2952 0.0875 0.3605
O 0.2952 0.4125 0.8605
O 0.2961 0.0691 0.0625
O 0.2961 0.4309 0.5625
O 0.3061 0.0497 0.5436
O 0.3061 0.4503 0.0436
O 0.4698 0.1062 0.9112
O 0.4698 0.3938 0.4112
O 0.4762 0.7042 0.2322
O 0.4762 0.7958 0.7322
O 0.4805 0.5250 0.7468
O 0.4805 0.9750 0.2468
O 0.5195 0.0250 0.7532
O 0.5195 0.4750 0.2532
O 0.5238 0.2042 0.2678
O 0.5238 0.2958 0.7678
O 0.5302 0.6062 0.5888
O 0.5302 0.8938 0.0888
O 0.6939 0.5497 0.9564
O 0.6939 0.9503 0.4564
O 0.7039 0.5691 0.4375
O 0.7039 0.9309 0.9375
O 0.7048 0.5875 0.1395
O 0.7048 0.9125 0.6395
O 0.7225 0.1767 0.4922
O 0.7225 0.3233 0.9922
O 0.7885 0.7365 0.0295
O 0.7885 0.7635 0.5295
O 0.8522 0.1172 0.9115
O 0.8522 0.3828 0.4115
O 0.9058 0.0342 0.1428
O 0.9058 0.4658 0.6428
O 0.9243 0.0822 0.3713
O 0.9243 0.4178 0.8713
O 0.9826 0.6685 0.7407
O 0.9826 0.8315 0.2407

---

(3)
A relaxed NaMo3P3O13 crystal. Source: the Materials Project database, functional GGA+U.

Values from the calculation:
Energy of formation from the pure elements (eV per formula unit): -48.37
Space group: No. 11
Volume (Å³/atom): 13.731

Cell lengths 7.6303, 6.6819, 10.9077 Å; angles 90.00, 99.02, 90.00 degrees
Atoms (fractional coordinates):
Na 0.1545 0.2500 0.1902
Na 0.8455 0.7500 0.8098
Mo 0.1461 0.2500 0.7940
Mo 0.2665 0.7500 0.4482
Mo 0.5000 0.0000 0.0000
Mo 0.5000 0.5000 0.0000
Mo 0.7335 0.2500 0.5518
Mo 0.8539 0.7500 0.2060
P 0.1849 0.7500 0.1194
P 0.2478 0.7500 0.7689
P 0.2838 0.2500 0.5125
P 0.7162 0.7500 0.4875
P 0.7522 0.2500 0.2311
P 0.8151 0.2500 0.8806
O 0.0102 0.2500 0.9492
O 0.1343 0.5664 0.7908
O 0.1343 0.9336 0.7908
O 0.1442 0.7500 0.2571
O 0.1498 0.2500 0.6093
O 0.2442 0.0654 0.4283
O 0.2442 0.4346 0.4283
O 0.2835 0.5567 0.0972
O 0.2835 0.9433 0.0972
O 0.3153 0.7500 0.6450
O 0.3711 0.2500 0.9013
O 0.4180 0.7500 0.8751
O 0.4729 0.2500 0.5883
O 0.5271 0.7500 0.4117
O 0.5820 0.2500 0.1249
O 0.6289 0.7500 0.0987
O 0.6847 0.2500 0.3550
O 0.7165 0.0567 0.9028
O 0.7165 0.4433 0.9028
O 0.7558 0.5654 0.5717
O 0.7558 0.9346 0.5717
O 0.8502 0.7500 0.3907
O 0.8558 0.2500 0.7429
O 0.8657 0.0664 0.2092
O 0.8657 0.4336 0.2092
O 0.9898 0.7500 0.0508

---

| no. | VASP energy (eV/f.u.) |
| --- | --- |
| 1 | -100.1 |
| 2 | -61.1 |
| 3 | -144.3 |